DFT (r2SCAN) results for an optimized crystal structure of HoInPd.

Summary:
ΔE_f	-907	meV/atom

```
HoInPd
1.0
7.6740 0.0000 0.0000
-3.8370 6.6459 0.0000
0.0000 0.0000 3.7852
Pd In Ho
3 3 3
Cartesian
3.8370 2.2153 1.8926 Pd
0.0000 0.0000 0.0000 Pd
0.0000 4.4306 1.8926 Pd
2.0025 0.0000 1.8926 In
2.8357 4.9116 1.8926 In
-1.0013 1.7342 1.8926 In
4.5492 0.0000 0.0000 Ho
-2.2746 3.9397 0.0000 Ho
1.5624 2.7062 0.0000 Ho
```

***

DFT (r2SCAN) results for an optimized crystal structure of YUO4.

Summary:
ΔE_f	-3804	meV/atom

```
YUO4
1.0
-2.6668 2.6668 5.3241
2.6668 -2.6668 5.3241
2.6667 2.6667 -5.3241
O Y U
8 2 2
Cartesian
1.3334 1.2722 3.9930 O
1.3945 1.3334 1.3310 O
1.3334 -1.2722 3.9931 O
1.3334 3.9390 -1.3310 O
1.3334 1.3945 -1.3310 O
-1.2722 1.3334 6.6551 O
1.2722 1.3334 6.6551 O
3.9390 1.3334 1.3310 O
0.0000 2.6668 2.6620 Y
0.0000 0.0000 0.0000 Y
2.6667 0.0000 2.6620 U
0.0000 0.0000 5.3241 U
```

***

DFT (r2SCAN) results for an optimized crystal structure of CeRh.

Summary:
ΔE_f	-805	meV/atom

```
CeRh
1.0
2.3021 -1.8117 2.4481
1.9362 3.3819 0.6820
-2.4755 0.3024 5.5285
Ce Rh
2 2
Cartesian
1.7878 -0.6336 3.8035 Ce
-0.0250 2.5063 4.8550 Ce
1.9079 1.8623 2.5608 Rh
-0.1451 0.0104 6.0977 Rh
```

***

DFT (r2SCAN) results for an optimized crystal structure of La2Si3Rh.

Summary:
ΔE_f	-996	meV/atom

```
La2Si3Rh
1.0
4.1440 -7.1776 0.0000
4.1440 7.1776 0.0000
0.0000 0.0000 4.3684
Rh La Si
2 4 6
Cartesian
4.1440 2.3925 0.0000 Rh
4.1440 -2.3925 0.0000 Rh
2.0720 3.5888 2.1842 La
2.0720 -3.5888 2.1842 La
4.1440 0.0000 2.1842 La
0.0000 0.0000 2.1842 La
4.1440 -4.7869 0.0000 Si
2.0704 -1.1954 0.0000 Si
6.2176 1.1954 0.0000 Si
6.2176 -1.1954 0.0000 Si
2.0704 1.1954 0.0000 Si
4.1440 4.7869 0.0000 Si
```

***

DFT (r2SCAN) results for an optimized crystal structure of MgH12S2O9.

Summary:
ΔE_f	-1228	meV/atom

```
MgH12S2O9
1.0
-5.9306 -2.1324 2.5706
-3.0396 -1.7698 -8.4807
5.2137 -13.3856 0.9248
H O S Mg
48 36 8 4
Cartesian
-3.5795 -4.1928 -3.9766 H
0.2694 -10.0290 -1.4386 H
-4.0901 -8.2176 -0.9448 H
-2.6727 -6.5209 -3.8157 H
-1.9215 -2.6357 -2.5034 H
0.3337 -9.0702 -4.0405 H
-2.2455 -7.3408 -6.3751 H
-4.7216 -4.0640 1.0057 H
-5.9015 -3.5670 -1.2661 H
-4.0258 -7.2588 -3.5467 H
-3.0504 -9.0889 -0.1088 H
-2.8157 -3.2494 -1.3609 H
-0.9269 -6.4800 -6.3334 H
0.0821 -2.5378 -0.6646 H
0.6741 -8.6093 0.7110 H
-1.4400 -16.1765 -4.1766 H
-6.2420 -4.0279 -6.0176 H
-1.8349 -14.6521 -2.4819 H
-2.8295 -10.8078 1.3481 H
-0.7060 -8.1989 -4.8765 H
-3.9437 -9.7486 -4.6207 H
0.1873 -7.5392 -0.3646 H
-3.2097 -1.7709 -5.3206 H
-3.8385 -14.7500 -4.3207 H
-1.0837 -10.7669 -1.1696 H
-1.5955 -6.3820 -1.1445 H
-0.5467 -15.5169 0.3353 H
-3.6975 -3.6128 -6.6327 H
-5.0871 -4.5339 -3.7349 H
-4.4306 -8.6785 -5.6963 H
-4.7453 -12.4219 -4.4815 H
-0.0589 -13.6750 1.6474 H
-2.1609 -10.9058 -3.8408 H
-0.1769 -13.0950 -1.0087 H
-2.3164 -1.1113 -0.8087 H
0.9652 -13.2238 -5.9910 H
-2.1470 -3.3475 -6.5498 H
-1.6094 -13.9403 1.5645 H
-0.4694 -6.3638 -2.2459 H
2.1451 -13.7208 -3.7192 H
-0.9408 -14.0384 -3.6244 H
-1.5110 -9.9470 1.3898 H
1.3307 -12.7539 -1.2503 H
-3.6603 -6.7889 1.1940 H
-0.0961 -10.4989 -6.1793 H
-3.2870 -10.9240 -2.7394 H
0.9889 -4.8659 -0.5038 H
2.4856 -13.2599 1.0323 H
-3.0584 -7.3980 -3.5934 O
0.8873 -7.7564 0.2866 O
-0.7400 -14.3879 1.6973 O
-1.6869 -12.3316 -0.9310 O
-1.2605 -7.4080 -6.3712 O
-3.0165 -2.8998 -6.6826 O
-4.8646 -4.9220 -6.6941 O
-3.9935 -11.9651 -1.5160 O
1.7668 -13.4595 -6.5001 O
-3.9853 -7.1793 -6.5381 O
-6.9934 -3.4987 -5.6887 O
-2.0695 -4.9562 -4.0543 O
-5.5844 -2.6536 -1.4004 O
0.3601 -9.8478 -6.7496 O
-2.4959 -9.8798 1.3859 O
-0.6980 -9.8898 -1.3919 O
-0.3351 -3.9942 0.0930 O
-3.2347 -8.6863 -0.9836 O
-1.0597 -14.8414 -3.0631 O
-0.5217 -8.6015 -4.0017 O
-3.1143 -14.2224 -1.3601 O
3.2370 -13.7891 0.7034 O
-5.5233 -3.8283 1.5148 O
1.1082 -12.3658 1.7088 O
0.2371 -5.3227 -3.4693 O
-2.8156 -10.3332 -3.3746 O
-4.6437 -9.5314 -5.2719 O
0.2289 -10.1084 1.5528 O
-4.1165 -7.4400 1.7643 O
-2.6967 -2.4464 -1.9222 O
-4.4652 -3.7863 -3.8429 O
-0.6421 -3.0654 -3.6252 O
0.7088 -13.5015 -1.1424 O
-0.9408 -6.9546 -1.6107 O
1.8280 -14.6342 -3.5849 O
-3.4213 -13.2936 -5.0783 O
-0.6942 -4.4284 -4.1672 S
-3.0622 -12.8594 -0.8181 S
-2.3458 -12.9403 -6.0277 S
-6.1558 -6.5138 -3.5613 S
2.3994 -10.7740 -1.4240 S
-1.4106 -4.3475 1.0424 S
-2.9724 -5.0307 -0.0420 S
-0.7840 -12.2571 -4.9432 S
-4.4851 -1.9511 -2.9550 Mg
-1.8782 -8.6439 -2.4926 Mg
0.0000 0.0000 0.0000 Mg
2.6069 -6.6928 0.4624 Mg
```

***

DFT (r2SCAN) results for an optimized crystal structure of TaPbF7.

Summary:
ΔE_f	-3203	meV/atom

```
TaPbF7
1.0
-0.1750 1.8267 4.5304
4.0763 -5.1320 1.7291
5.8369 4.1485 -1.4473
F Pb Ta
14 2 2
Cartesian
8.2176 -1.4705 1.2674 F
0.9700 -0.3596 1.7794 F
7.9693 0.9063 0.6654 F
1.5205 2.3137 3.5448 F
1.7689 -0.0631 4.1468 F
3.7990 1.3798 3.6434 F
5.9391 -0.5366 1.1688 F
3.3821 -0.7304 2.3268 F
4.4962 3.9826 1.8899 F
3.5397 1.4668 1.1422 F
6.1985 -0.6235 3.6700 F
8.7682 1.2029 3.0329 F
6.3560 1.5736 2.4854 F
5.2419 -3.1393 2.9223 F
4.0760 -0.6818 5.2646 Pb
5.6621 1.5250 -0.4523 Pb
7.4918 -0.0646 2.3704 Ta
2.2463 0.9078 2.4419 Ta
```

***

> Among the records above, which one has the highest ΔE_f?

CeRh

***

> Which value of ΔE_f does entry 3 give?

-805 meV/atom

***

> The highest ΔE_f belongs to which entry?

CeRh